! Er2SO2, optimized geometry, DFT meta-GGA r2SCAN; values from VASP
&SYSTEM
  ibrav = 0, nat = 5, ntyp = 3
/
ATOMIC_SPECIES
Er 167.26 Er.upf
S 32.06 S.upf
O 16.00 O.upf
CELL_PARAMETERS angstrom
-1.9513 -0.6751 -3.1160
3.3338 -1.6139 0.5042
-2.8940 -5.0686 2.9104
ATOMIC_POSITIONS crystal
Er 0.6667 0.3333 0.7164
Er 0.3333 0.6667 0.2836
S 0.0000 0.0000 0.0000
O 0.6667 0.3333 0.3708
O 0.3333 0.6667 0.6292
! - ΔE_f (eV per atom) = -3.577
! - crystal system = trigonal
! - VASP energy (eV/atom) = -21.14
! - symmetry = P-3m1 (164)
! - magnetization (μB/f.u.) = 0.0

---

! ErSbO4, optimized geometry, DFT meta-GGA r2SCAN; values from VASP
&SYSTEM
  ibrav = 0, nat = 24, ntyp = 3
/
ATOMIC_SPECIES
Er 167.26 Er.upf
Sb 121.76 Sb.upf
O 16.00 O.upf
CELL_PARAMETERS angstrom
-3.6311 -3.7406 0.9132
4.1201 -4.9163 -3.7556
4.1370 -2.6146 5.7397
ATOMIC_POSITIONS crystal
Er 0.7258 0.3878 0.3559
Er 0.2742 0.6122 0.6441
Er 0.7742 0.8878 0.3559
Er 0.2258 0.1122 0.6441
Sb 0.7689 0.8079 0.8364
Sb 0.2311 0.1921 0.1636
Sb 0.2689 0.6921 0.1636
Sb 0.7311 0.3079 0.8364
O 0.9052 0.3089 0.0683
O 0.0948 0.6911 0.9317
O 0.3845 0.4378 0.1710
O 0.6155 0.5622 0.8290
O 0.1155 0.9378 0.1710
O 0.8845 0.0622 0.8290
O 0.5948 0.8089 0.0683
O 0.4052 0.1911 0.9317
O 0.9764 0.8251 0.6120
O 0.0236 0.1749 0.3880
O 0.4764 0.6749 0.3880
O 0.5236 0.3251 0.6120
O 0.5126 0.1176 0.3225
O 0.4874 0.8824 0.6775
O 0.9874 0.6176 0.3225
O 0.0126 0.3824 0.6775
! - ΔE_f (eV per atom) = -2.697
! - crystal system = monoclinic
! - VASP energy (eV/atom) = -16.62
! - symmetry = P2_1/c (14)
! - magnetization (μB/f.u.) = 0.0

---

! ErSbO4, optimized geometry, DFT meta-GGA r2SCAN; values from VASP
&SYSTEM
  ibrav = 0, nat = 24, ntyp = 3
/
ATOMIC_SPECIES
Er 167.26 Er.upf
Sb 121.76 Sb.upf
O 16.00 O.upf
CELL_PARAMETERS angstrom
-0.5617 1.1102 5.1492
6.5844 -3.4838 1.2080
4.5174 5.8434 -0.8132
ATOMIC_POSITIONS crystal
Er 0.2641 0.1326 0.6141
Er 0.7359 0.8674 0.3859
Er 0.2144 0.1556 0.1097
Er 0.7856 0.8444 0.8903
Sb 0.2380 0.6640 0.1941
Sb 0.7620 0.3360 0.8059
Sb 0.7244 0.3360 0.3087
Sb 0.2756 0.6640 0.6913
O 0.0890 0.4338 0.6891
O 0.9110 0.5662 0.3109
O 0.6068 0.3270 0.5612
O 0.3932 0.6730 0.4388
O 0.8746 0.3308 0.0623
O 0.1254 0.6692 0.9377
O 0.4005 0.4311 0.1938
O 0.5995 0.5689 0.8062
O 0.0387 0.8869 0.1738
O 0.9613 0.1131 0.8262
O 0.5087 0.1104 0.3234
O 0.4913 0.8896 0.6766
O 0.4678 0.1850 0.8803
O 0.5322 0.8150 0.1197
O 0.9936 0.1695 0.3837
O 0.0064 0.8305 0.6163
! - ΔE_f (eV per atom) = -2.697
! - crystal system = triclinic
! - VASP energy (eV/atom) = -16.62
! - symmetry = P-1 (2)
! - magnetization (μB/f.u.) = 0.0

---

! Er3Sb5O12, optimized geometry, DFT meta-GGA r2SCAN; values from VASP
&SYSTEM
  ibrav = 0, nat = 40, ntyp = 3
/
ATOMIC_SPECIES
Er 167.26 Er.upf
Sb 121.76 Sb.upf
O 16.00 O.upf
CELL_PARAMETERS angstrom
5.3144 -2.9468 6.9764
-4.4033 7.7331 2.5312
-6.2039 -6.5279 -2.1213
ATOMIC_POSITIONS crystal
Er 0.7500 0.2500 0.5000
Er 0.7500 0.5000 0.2500
Er 0.5000 0.2500 0.7500
Er 0.5000 0.7500 0.2500
Er 0.2500 0.7500 0.5000
Er 0.2500 0.5000 0.7500
Sb 0.5183 0.0000 0.0000
Sb 0.2816 0.0000 0.2816
Sb 0.2817 0.2817 0.0000
Sb 0.7184 0.0000 0.7184
Sb 0.7183 0.7184 0.0000
Sb 0.0000 0.5183 0.0000
Sb 0.0000 0.0000 0.5183
Sb 0.4817 0.4817 0.4817
Sb 0.0000 0.2816 0.2816
Sb 0.0000 0.7184 0.7184
O 0.4793 0.0000 0.2011
O 0.4794 0.2011 0.0000
O 0.7034 0.5013 0.0000
O 0.7034 0.0000 0.5013
O 0.7978 0.2966 0.2966
O 0.4987 0.4988 0.2022
O 0.4987 0.2022 0.4987
O 0.5013 0.7034 0.0000
O 0.5013 0.0000 0.7034
O 0.7217 0.5206 0.5207
O 0.7989 0.2783 0.7989
O 0.7989 0.7989 0.2783
O 0.2011 0.4793 0.0000
O 0.2011 0.0000 0.4794
O 0.5206 0.7217 0.5206
O 0.5206 0.5206 0.7217
O 0.0000 0.4793 0.2011
O 0.0000 0.2011 0.4793
O 0.2966 0.7979 0.2966
O 0.2966 0.2966 0.7978
O 0.2022 0.4987 0.4987
O 0.0000 0.7034 0.5013
O 0.0000 0.5013 0.7034
O 0.2783 0.7989 0.7989
! - ΔE_f (eV per atom) = -2.474
! - crystal system = cubic
! - VASP energy (eV/atom) = -17.57
! - symmetry = I-43m (217)
! - magnetization (μB/f.u.) = 0.0

---

! Er2SeO2, optimized geometry, DFT meta-GGA r2SCAN; values from VASP
&SYSTEM
  ibrav = 0, nat = 5, ntyp = 3
/
ATOMIC_SPECIES
Er 167.26 Er.upf
Se 78.96 Se.upf
O 16.00 O.upf
CELL_PARAMETERS angstrom
-2.8447 -2.4657 -0.3239
2.3135 -0.1658 2.9829
-4.0312 4.2095 3.3605
ATOMIC_POSITIONS crystal
Er 0.6667 0.3333 0.7081
Er 0.3333 0.6667 0.2919
Se 0.0000 0.0000 0.0000
O 0.6667 0.3333 0.3747
O 0.3333 0.6667 0.6253
! - ΔE_f (eV per atom) = -3.479
! - crystal system = trigonal
! - VASP energy (eV/atom) = -22.30
! - symmetry = P-3m1 (164)
! - magnetization (μB/f.u.) = 0.0

---

! Er2Si2O7, optimized geometry, DFT meta-GGA r2SCAN; values from VASP
&SYSTEM
  ibrav = 0, nat = 11, ntyp = 3
/
ATOMIC_SPECIES
Er 167.26 Er.upf
Si 28.09 Si.upf
O 16.00 O.upf
CELL_PARAMETERS angstrom
4.4442 3.4016 -0.0044
-4.4442 3.4016 -0.0044
0.0000 0.9855 4.6195
ATOMIC_POSITIONS crystal
Er 0.3071 0.6929 0.0000
Er 0.6929 0.3071 0.0000
Si 0.2194 0.2194 0.5881
Si 0.7806 0.7806 0.4119
O 0.9144 0.6131 0.2204
O 0.3869 0.0856 0.7796
O 0.0856 0.3869 0.7796
O 0.6131 0.9144 0.2204
O 0.0000 0.0000 0.5000
O 0.6169 0.6169 0.7154
O 0.3831 0.3831 0.2846
! - ΔE_f (eV per atom) = -3.558
! - crystal system = monoclinic
! - VASP energy (eV/atom) = -15.12
! - symmetry = C2/m (12)
! - magnetization (μB/f.u.) = 0.0

---

! Er2Si2O7, optimized geometry, DFT meta-GGA r2SCAN; values from VASP
&SYSTEM
  ibrav = 0, nat = 22, ntyp = 3
/
ATOMIC_SPECIES
Er 167.26 Er.upf
Si 28.09 Si.upf
O 16.00 O.upf
CELL_PARAMETERS angstrom
-8.3692 2.5329 6.1904
-2.6192 -3.1971 -2.2329
1.2138 -4.2113 3.3641
ATOMIC_POSITIONS crystal
Er 0.1508 0.1103 0.5931
Er 0.6508 0.8897 0.9069
Er 0.8492 0.8897 0.4069
Er 0.3492 0.1103 0.0931
Si 0.1128 0.6398 0.1454
Si 0.6128 0.3602 0.3546
Si 0.8872 0.3602 0.8546
Si 0.3872 0.6398 0.6454
O 0.2035 0.3801 0.2548
O 0.7035 0.6199 0.2452
O 0.7965 0.6199 0.7452
O 0.2965 0.3801 0.7548
O 0.1838 0.8772 0.9592
O 0.6838 0.1228 0.5408
O 0.8162 0.1228 0.0408
O 0.3162 0.8772 0.4592
O 0.5000 0.5000 0.5000
O 0.0000 0.5000 0.0000
O 0.4490 0.7957 0.8684
O 0.9490 0.2043 0.6316
O 0.5510 0.2043 0.1316
O 0.0510 0.7957 0.3684
! - ΔE_f (eV per atom) = -3.556
! - crystal system = monoclinic
! - VASP energy (eV/atom) = -15.12
! - symmetry = P2_1/c (14)
! - magnetization (μB/f.u.) = 0.0

---

! Er2SiO5, optimized geometry, DFT meta-GGA r2SCAN; values from VASP
&SYSTEM
  ibrav = 0, nat = 32, ntyp = 3
/
ATOMIC_SPECIES
Er 167.26 Er.upf
Si 28.09 Si.upf
O 16.00 O.upf
CELL_PARAMETERS angstrom
3.3327 7.1584 -0.0067
-3.3327 7.1584 -0.0067
0.0000 5.4778 8.6980
ATOMIC_POSITIONS crystal
Er 0.4830 0.2353 0.3358
Er 0.2192 0.7077 0.4660
Er 0.5170 0.7647 0.6642
Er 0.2353 0.4830 0.8358
Er 0.7647 0.5170 0.1642
Er 0.7808 0.2923 0.5340
Er 0.7077 0.2192 0.9660
Er 0.2923 0.7808 0.0340
Si 0.7266 0.9094 0.8076
Si 0.2734 0.0906 0.1924
Si 0.0906 0.2734 0.6924
Si 0.9094 0.7266 0.3076
O 0.4456 0.1501 0.1752
O 0.8302 0.4085 0.6781
O 0.9142 0.9076 0.1395
O 0.2708 0.1316 0.5614
O 0.5544 0.8499 0.8248
O 0.3852 0.5787 0.8980
O 0.1501 0.4456 0.6752
O 0.4085 0.8302 0.1781
O 0.7292 0.8684 0.4386
O 0.5787 0.3852 0.3980
O 0.4213 0.6148 0.6020
O 0.0924 0.0858 0.3605
O 0.1698 0.5915 0.3219
O 0.8684 0.7292 0.9386
O 0.9076 0.9142 0.6395
O 0.8499 0.5544 0.3248
O 0.0858 0.0924 0.8605
O 0.6148 0.4213 0.1020
O 0.5915 0.1698 0.8219
O 0.1316 0.2708 0.0614
! - ΔE_f (eV per atom) = -3.717
! - crystal system = monoclinic
! - VASP energy (eV/atom) = -17.03
! - symmetry = C2/c (15)
! - magnetization (μB/f.u.) = 0.0